Here is crystalline AcNd3 at its relaxed geometry from the Materials Project. Energies are from PBE.

Unit cell a=7.508 b=7.508 c=6.183 alpha=90.00 beta=90.00 gamma=120.00
Fractional positions:
Ac 0.333 0.667 0.750
Ac 0.667 0.333 0.250
Nd 0.163 0.326 0.250
Nd 0.674 0.837 0.250
Nd 0.163 0.837 0.250
Nd 0.837 0.674 0.750
Nd 0.326 0.163 0.750
Nd 0.837 0.163 0.750

Summary:
Crystal system: hexagonal
SG: P6_3/mmc (194)
Formation energy from the elements in eV per atom: 0.049

=====

Here is crystalline K3Ti8O17 at its relaxed geometry from the Materials Project. Energies are from PBE.

Unit cell a=8.124 b=8.124 c=12.209 alpha=84.85 beta=84.85 gamma=27.28
Fractional positions:
K 0.558 0.558 0.168
K 0.443 0.443 0.825
K 0.510 0.510 0.462
Ti 0.848 0.848 0.324
Ti 0.151 0.151 0.675
Ti 0.758 0.758 0.830
Ti 0.241 0.241 0.170
Ti 0.888 0.888 0.070
Ti 0.111 0.111 0.929
Ti 0.804 0.804 0.578
Ti 0.199 0.199 0.423
O 0.828 0.828 0.936
O 0.172 0.172 0.065
O 0.726 0.726 0.433
O 0.275 0.275 0.567
O 0.637 0.637 0.912
O 0.363 0.363 0.089
O 0.686 0.686 0.674
O 0.315 0.315 0.326
O 0.893 0.893 0.463
O 0.108 0.108 0.536
O 0.000 0.000 0.000
O 0.850 0.850 0.708
O 0.149 0.149 0.295
O 0.771 0.771 0.186
O 0.229 0.229 0.814
O 0.938 0.938 0.226
O 0.063 0.063 0.776

Summary:
Crystal system: monoclinic
SG: Cm (8)
Formation energy from the elements in eV per atom: -3.306

=====

Here is crystalline MgSb2O4 at its relaxed geometry from the Materials Project. Energies are from PBE.

Unit cell a=3.393 b=10.719 c=10.969 alpha=90.00 beta=90.00 gamma=90.00
Fractional positions:
Mg 0.834 0.750 0.383
Mg 0.834 0.250 0.117
Mg 0.166 0.750 0.883
Mg 0.166 0.250 0.617
Sb 0.392 0.588 0.124
Sb 0.392 0.088 0.376
Sb 0.608 0.088 0.876
Sb 0.392 0.412 0.376
Sb 0.608 0.412 0.876
Sb 0.392 0.912 0.124
Sb 0.608 0.912 0.624
Sb 0.608 0.588 0.624
O 0.632 0.877 0.952
O 0.368 0.123 0.048
O 0.745 0.000 0.250
O 0.368 0.877 0.452
O 0.368 0.623 0.452
O 0.650 0.250 0.295
O 0.632 0.123 0.548
O 0.350 0.250 0.795
O 0.745 0.500 0.250
O 0.255 0.000 0.750
O 0.632 0.623 0.952
O 0.350 0.750 0.705
O 0.650 0.750 0.205
O 0.255 0.500 0.750
O 0.632 0.377 0.548
O 0.368 0.377 0.048

Summary:
Crystal system: orthorhombic
SG: Pbcm (57)
Relative energy among the computed polymorphs in meV/atom: 338
Formation energy from the elements in eV per atom: -1.833

=====

Q: What is the formation energy from the elements in the third record?
A: -1.833 eV per atom

=====

Q: Number 3 is which compound?
A: MgSb2O4

=====

Please write out number 2 again, unchanged.
Here is crystalline K3Ti8O17 at its relaxed geometry from the Materials Project. Energies are from PBE.

Unit cell a=8.124 b=8.124 c=12.209 alpha=84.85 beta=84.85 gamma=27.28
Fractional positions:
K 0.558 0.558 0.168
K 0.443 0.443 0.825
K 0.510 0.510 0.462
Ti 0.848 0.848 0.324
Ti 0.151 0.151 0.675
Ti 0.758 0.758 0.830
Ti 0.241 0.241 0.170
Ti 0.888 0.888 0.070
Ti 0.111 0.111 0.929
Ti 0.804 0.804 0.578
Ti 0.199 0.199 0.423
O 0.828 0.828 0.936
O 0.172 0.172 0.065
O 0.726 0.726 0.433
O 0.275 0.275 0.567
O 0.637 0.637 0.912
O 0.363 0.363 0.089
O 0.686 0.686 0.674
O 0.315 0.315 0.326
O 0.893 0.893 0.463
O 0.108 0.108 0.536
O 0.000 0.000 0.000
O 0.850 0.850 0.708
O 0.149 0.149 0.295
O 0.771 0.771 0.186
O 0.229 0.229 0.814
O 0.938 0.938 0.226
O 0.063 0.063 0.776

Summary:
Crystal system: monoclinic
SG: Cm (8)
Formation energy from the elements in eV per atom: -3.306